[1]
A relaxed NaLaHfSiS2O12 crystal. Source: the Materials Project, functional PBE.

The structure in POSCAR format:
```
NaLaHfSiS2O12
1.0
9.232 0.000 0.000
-4.616 8.081 -0.019
0.000 -0.058 23.919
Na La Hf Si S O
6 6 6 6 12 72
Direct
0.034 0.012 0.500
0.978 0.012 0.000
0.703 0.335 0.832
0.632 0.335 0.332
0.343 0.705 0.165
0.362 0.705 0.665
0.998 0.998 0.646
0.000 0.998 0.146
0.678 0.323 0.979
0.645 0.323 0.479
0.337 0.669 0.313
0.332 0.669 0.813
0.023 0.013 0.352
0.990 0.013 0.852
0.656 0.307 0.685
0.651 0.307 0.185
0.331 0.664 0.018
0.333 0.664 0.518
0.303 0.011 0.249
0.707 0.011 0.749
0.371 0.020 0.583
0.649 0.020 0.083
0.049 0.368 0.916
0.319 0.368 0.416
0.718 0.693 0.251
0.978 0.284 0.252
0.306 0.284 0.752
0.976 0.693 0.751
0.970 0.355 0.583
0.646 0.618 0.584
0.972 0.618 0.084
0.385 0.355 0.083
0.639 0.687 0.918
0.309 0.950 0.919
0.641 0.950 0.419
0.048 0.687 0.418
0.200 0.028 0.305
0.818 0.786 0.302
0.962 0.178 0.301
0.216 0.178 0.801
0.968 0.786 0.802
0.828 0.028 0.805
0.795 0.993 0.694
0.211 0.212 0.700
0.000 0.789 0.700
0.789 0.789 0.200
0.001 0.212 0.200
0.198 0.993 0.194
0.879 0.369 0.634
0.494 0.128 0.638
0.632 0.517 0.634
0.885 0.517 0.134
0.634 0.128 0.138
0.490 0.369 0.134
0.460 0.336 0.032
0.874 0.548 0.033
0.673 0.131 0.029
0.457 0.131 0.529
0.674 0.548 0.533
0.876 0.336 0.532
0.549 0.706 0.968
0.166 0.473 0.971
0.302 0.845 0.968
0.544 0.845 0.468
0.307 0.473 0.471
0.157 0.706 0.468
0.119 0.665 0.367
0.542 0.884 0.368
0.330 0.468 0.360
0.137 0.468 0.860
0.343 0.884 0.868
0.546 0.665 0.867
0.036 0.843 0.414
0.801 0.948 0.414
0.144 0.180 0.410
0.036 0.180 0.910
0.147 0.948 0.914
0.807 0.843 0.914
0.999 0.214 0.589
0.184 0.990 0.586
0.784 0.790 0.589
0.006 0.790 0.089
0.807 0.990 0.086
0.215 0.214 0.089
0.702 0.189 0.743
0.473 0.294 0.747
0.817 0.530 0.746
0.713 0.530 0.246
0.820 0.294 0.247
0.486 0.189 0.243
0.665 0.545 0.926
0.860 0.337 0.916
0.445 0.122 0.926
0.677 0.122 0.426
0.477 0.337 0.416
0.880 0.545 0.426
0.375 0.512 0.080
0.138 0.624 0.078
0.473 0.840 0.076
0.367 0.840 0.576
0.485 0.624 0.578
0.137 0.512 0.580
0.338 0.857 0.252
0.545 0.663 0.255
0.119 0.453 0.257
0.334 0.453 0.757
0.118 0.663 0.755
0.519 0.857 0.752
```

Calculated values
energy relative to the elements	-4833	kJ/mol of formula units
SG	Cc (9)

---

[2]
A relaxed SrEr2O4 crystal. Source: the Materials Project, functional PBE.

The structure in POSCAR format:
```
SrEr2O4
1.0
-0.714 1.963 -2.678
-8.921 2.341 4.094
4.974 9.321 5.509
Sr Er O
4 8 16
Direct
0.750 0.753 0.650
0.750 0.253 0.850
0.250 0.247 0.350
0.250 0.747 0.150
0.250 0.077 0.610
0.250 0.577 0.890
0.250 0.076 0.112
0.750 0.423 0.110
0.750 0.924 0.888
0.250 0.576 0.388
0.750 0.923 0.390
0.750 0.424 0.612
0.250 0.985 0.284
0.750 0.124 0.480
0.750 0.711 0.327
0.250 0.289 0.673
0.250 0.876 0.520
0.750 0.515 0.784
0.750 0.624 0.020
0.750 0.926 0.077
0.250 0.574 0.577
0.250 0.376 0.980
0.250 0.789 0.827
0.750 0.211 0.173
0.250 0.074 0.923
0.750 0.426 0.423
0.750 0.015 0.716
0.250 0.485 0.216
```

Calculated values
energy relative to the elements	-2553	kJ/mol of formula units
E above lowest polymorph	0.000	kcal/mol of atoms
SG	Pnma (62)

---

[3]
A relaxed Al6C3N2 crystal. Source: the Materials Project, functional PBE.

The structure in POSCAR format:
```
Al6C3N2
1.0
3.479 0.000 0.000
0.000 4.165 0.000
0.000 1.885 9.037
Al C N
6 3 2
Direct
0.500 0.277 0.750
0.500 0.072 0.392
0.000 0.512 0.513
0.500 0.628 0.143
0.000 0.758 0.835
0.000 0.162 0.064
0.500 0.105 0.181
0.500 0.703 0.579
0.000 0.262 0.838
0.000 0.665 0.053
0.500 0.828 0.717
```

Calculated values
energy relative to the elements	-190	kJ/mol of formula units
E above lowest polymorph	8.234	kcal/mol of atoms
SG	Pm (6)

---

[4]
A relaxed Ni2Mo4N crystal. Source: the Materials Project, functional PBE.

The structure in POSCAR format:
```
Ni2Mo4N
1.0
0.000 5.637 5.637
5.637 0.000 5.637
5.637 5.637 0.000
Ni Mo N
8 16 4
Direct
0.996 0.335 0.335
0.915 0.915 0.915
0.335 0.335 0.996
0.915 0.915 0.254
0.254 0.915 0.915
0.335 0.996 0.335
0.915 0.254 0.915
0.335 0.335 0.335
0.305 0.695 0.695
0.125 0.125 0.625
0.555 0.555 0.945
0.305 0.695 0.305
0.305 0.305 0.695
0.695 0.305 0.305
0.945 0.945 0.555
0.945 0.555 0.945
0.945 0.555 0.555
0.555 0.945 0.945
0.125 0.125 0.125
0.695 0.695 0.305
0.695 0.305 0.695
0.555 0.945 0.555
0.625 0.125 0.125
0.125 0.625 0.125
0.625 0.125 0.625
0.625 0.625 0.125
0.125 0.625 0.625
0.625 0.625 0.625
```

Calculated values
energy relative to the elements	-161	kJ/mol of formula units
SG	Fd-3m (227)

---

[5]
A relaxed SrB2S4 crystal. Source: the Materials Project, functional PBE.

The structure in POSCAR format:
```
SrB2S4
1.0
-10.381 8.223 -5.291
-4.206 -3.962 2.096
-1.758 1.686 6.069
Sr B S
4 8 16
Direct
0.604 0.304 0.310
0.104 0.196 0.690
0.396 0.696 0.690
0.896 0.804 0.310
0.584 0.931 0.966
0.084 0.569 0.034
0.416 0.069 0.034
0.916 0.431 0.966
0.272 0.321 0.228
0.772 0.179 0.772
0.728 0.679 0.772
0.228 0.821 0.228
0.508 0.861 0.231
0.261 0.509 0.413
0.239 0.009 0.413
0.761 0.991 0.587
0.900 0.169 0.873
0.400 0.331 0.127
0.100 0.831 0.127
0.600 0.669 0.873
0.804 0.562 0.026
0.304 0.938 0.974
0.196 0.438 0.974
0.696 0.062 0.026
0.492 0.139 0.769
0.992 0.361 0.231
0.739 0.491 0.587
0.008 0.639 0.769
```

Calculated values
energy relative to the elements	-834	kJ/mol of formula units
E above lowest polymorph	0.000	kcal/mol of atoms
SG	P2_1/c (14)

---

[6]
A relaxed Te4Mo3WSe4 crystal. Source: the Materials Project, functional PBE.

The structure in POSCAR format:
```
Te4Mo3WSe4
1.0
-2.118 2.516 1.000
-1.219 -3.174 -0.503
7.294 -8.728 37.403
Te Mo W Se
4 3 1 4
Direct
0.000 0.000 0.329
0.000 0.000 0.705
0.000 0.000 0.234
0.000 0.000 0.610
0.000 0.000 0.094
0.333 0.667 0.282
0.333 0.667 0.658
0.000 0.000 0.470
0.333 0.667 0.052
0.333 0.667 0.428
0.333 0.667 0.136
0.333 0.667 0.512
```

Calculated values
energy relative to the elements	-664	kJ/mol of formula units
E above lowest polymorph	0.005	kcal/mol of atoms
SG	P3m1 (156)

---

[7]
A relaxed LiZnAsO5 crystal. Source: the Materials Project, functional PBE.

The structure in POSCAR format:
```
LiZnAsO5
1.0
0.815 -3.881 -3.451
4.868 5.065 -4.547
8.787 -3.276 5.758
Li Zn As O
4 4 4 20
Direct
0.237 0.673 0.176
0.737 0.327 0.824
0.737 0.173 0.324
0.237 0.827 0.676
0.741 0.871 0.122
0.241 0.129 0.878
0.241 0.371 0.378
0.741 0.629 0.622
0.743 0.578 0.326
0.243 0.422 0.674
0.243 0.078 0.174
0.743 0.922 0.826
0.817 0.685 0.455
0.317 0.315 0.545
0.317 0.185 0.045
0.817 0.815 0.955
0.873 0.676 0.203
0.373 0.324 0.797
0.373 0.176 0.297
0.873 0.824 0.703
0.419 0.557 0.305
0.919 0.443 0.695
0.919 0.057 0.195
0.419 0.943 0.805
0.877 0.390 0.336
0.377 0.610 0.664
0.377 0.890 0.164
0.877 0.110 0.836
0.315 0.590 0.002
0.815 0.410 0.998
0.815 0.090 0.498
0.315 0.910 0.502
```

Calculated values
energy relative to the elements	-1126	kJ/mol of formula units
SG	Pna2_1 (33)

---

[8]
A relaxed Sr2La18AlSi11O52 crystal. Source: the Materials Project, functional PBE.

The structure in POSCAR format:
```
Sr2La18AlSi11O52
1.0
-6.708 0.280 2.828
1.475 -8.616 4.354
6.093 7.946 13.676
Sr La Al Si O
2 18 1 11 52
Direct
0.999 0.500 0.833
0.499 0.500 0.167
0.751 0.761 0.995
0.752 0.616 0.619
0.499 0.500 0.833
0.249 0.375 0.617
0.749 0.261 0.496
0.751 0.128 0.884
0.749 0.112 0.121
0.501 0.998 0.664
0.999 0.998 0.664
0.504 0.997 0.334
0.996 0.997 0.334
0.248 0.889 0.879
0.251 0.873 0.116
0.249 0.737 0.507
0.749 0.628 0.384
0.998 0.500 0.167
0.252 0.390 0.378
0.251 0.239 0.005
0.750 0.887 0.514
0.251 0.671 0.701
0.249 0.615 0.986
0.748 0.286 0.685
0.251 0.214 0.814
0.248 0.170 0.200
0.250 0.115 0.484
0.748 0.831 0.801
0.751 0.786 0.185
0.248 0.714 0.315
0.749 0.385 0.014
0.751 0.330 0.300
0.432 0.702 0.955
0.071 0.707 0.956
0.743 0.678 0.841
0.255 0.676 0.798
0.432 0.581 0.673
0.073 0.582 0.669
0.255 0.467 0.939
0.743 0.421 0.742
0.744 0.400 0.918
0.255 0.358 0.764
0.932 0.285 0.628
0.567 0.282 0.627
0.432 0.217 0.873
0.072 0.210 0.874
0.432 0.200 0.454
0.068 0.201 0.454
0.751 0.176 0.340
0.250 0.173 0.298
0.750 0.140 0.735
0.250 0.097 0.581
0.431 0.082 0.172
0.068 0.078 0.173
0.251 0.078 0.757
0.750 0.041 0.567
0.752 0.000 0.999
0.252 0.000 0.001
0.250 0.967 0.437
0.751 0.925 0.240
0.931 0.918 0.828
0.568 0.922 0.828
0.749 0.900 0.410
0.250 0.860 0.264
0.750 0.828 0.703
0.251 0.825 0.662
0.943 0.796 0.550
0.557 0.795 0.550
0.933 0.782 0.126
0.571 0.788 0.125
0.431 0.717 0.372
0.068 0.720 0.374
0.754 0.643 0.236
0.244 0.600 0.082
0.243 0.578 0.259
0.755 0.533 0.061
0.751 0.499 0.500
0.251 0.498 0.499
0.933 0.419 0.328
0.571 0.417 0.331
0.755 0.325 0.203
0.243 0.322 0.160
0.932 0.298 0.045
0.571 0.294 0.044
```

Calculated values
energy relative to the elements	-30200	kJ/mol of formula units
SG	P1 (1)